P.
## Xe (GGA-PBE)

Data for an optimized crystal structure of Xe.

abc: 4.850 4.850 4.850
angles: 62.84 62.84 62.84
Sites, in units of the cell vectors:
Xe  0.000  0.000  0.000

Q.
## Xe (GGA-PBE)

Data for an optimized crystal structure of Xe.

abc: 4.710 4.710 4.710
angles: 60.00 60.00 60.00
Sites, in units of the cell vectors:
Xe  0.000  0.000  0.000

Of them, P has the highest stability.

P.
## Y (GGA-PBE)

Data for an optimized crystal structure of Y.

abc: 8.914 8.914 8.914
angles: 23.31 23.31 23.31
Sites, in units of the cell vectors:
Y  0.000  0.000  0.000
Y  0.222  0.222  0.222
Y  0.778  0.778  0.778

Q.
## Y (GGA-PBE)

Data for an optimized crystal structure of Y.

abc: 3.580 3.580 3.580
angles: 60.00 60.00 60.00
Sites, in units of the cell vectors:
Y  0.000  0.000  0.000

R.
## Y (GGA-PBE)

Data for an optimized crystal structure of Y.

abc: 3.589 3.589 11.596
angles: 90.00 90.00 120.00
Sites, in units of the cell vectors:
Y  0.000  0.000  0.000
Y  0.333  0.667  0.250
Y  0.000  0.000  0.500
Y  0.667  0.333  0.750

Of them, P has the highest stability.